(1)
Computed, not measured: a relaxed structure of Te3MoWS at the GGA-PBE level of DFT.

final energy: -6.49 eV per atom

Geometry as CIF:
```
data_Te3MoWS
_symmetry_space_group_name_H-M 'P 1'
_symmetry_Int_Tables_number 1
_symmetry_space_group_name_Hall 'P 1'
_cell_length_a 3.458
_cell_length_b 3.458
_cell_length_c 38.950
_cell_angle_alpha 90.00
_cell_angle_beta 90.00
_cell_angle_gamma 120.00
loop_
_atom_site_label
_atom_site_type_symbol
_atom_site_fract_x
_atom_site_fract_y
_atom_site_fract_z
Te1 Te 0.333 0.667 0.610
Te2 Te 0.667 0.333 0.046
Te3 Te 0.667 0.333 0.142
Te4 Te 0.667 0.333 0.517
Te5 Te 0.333 0.667 0.705
Te6 Te 0.667 0.333 0.422
Mo1 Mo 0.333 0.667 0.470
Mo2 Mo 0.667 0.333 0.282
S1 S 0.333 0.667 0.244
S2 S 0.333 0.667 0.320
W1 W 0.667 0.333 0.658
W2 W 0.333 0.667 0.094
```

***

(2)
Computed, not measured: a relaxed structure of NaCaTiBiO6 at the GGA-PBE level of DFT.

magnetization: 0.00 Bohr magnetons per cell
final energy: -6.47 eV per atom

Geometry as CIF:
```
data_NaCaTiBiO6
_symmetry_space_group_name_H-M 'P 1'
_symmetry_Int_Tables_number 1
_symmetry_space_group_name_Hall 'P 1'
_cell_length_a 5.711
_cell_length_b 5.711
_cell_length_c 5.711
_cell_angle_alpha 60.00
_cell_angle_beta 60.00
_cell_angle_gamma 60.00
loop_
_atom_site_label
_atom_site_type_symbol
_atom_site_fract_x
_atom_site_fract_y
_atom_site_fract_z
O1 O 0.259 0.259 0.741
O2 O 0.259 0.741 0.259
O3 O 0.741 0.259 0.741
O4 O 0.741 0.259 0.259
O5 O 0.741 0.741 0.259
O6 O 0.259 0.741 0.741
Ca1 Ca 0.750 0.750 0.750
Ti1 Ti 0.500 0.500 0.500
Na1 Na 0.250 0.250 0.250
Bi1 Bi 0.000 0.000 0.000
```

***

(3)
Computed, not measured: a relaxed structure of CaGe2Pt at the GGA-PBE level of DFT.

final energy: -5.06 eV per atom

Geometry as CIF:
```
data_CaGe2Pt
_symmetry_space_group_name_H-M 'P 1'
_symmetry_Int_Tables_number 1
_symmetry_space_group_name_Hall 'P 1'
_cell_length_a 9.498
_cell_length_b 9.498
_cell_length_c 9.498
_cell_angle_alpha 152.66
_cell_angle_beta 123.77
_cell_angle_gamma 63.63
loop_
_atom_site_label
_atom_site_type_symbol
_atom_site_fract_x
_atom_site_fract_y
_atom_site_fract_z
Pt1 Pt 0.401 0.649 0.752
Pt2 Pt 0.104 0.351 0.752
Pt3 Pt 0.599 0.351 0.248
Pt4 Pt 0.896 0.649 0.248
Ca1 Ca 0.704 0.204 0.500
Ca2 Ca 0.259 0.000 0.259
Ca3 Ca 0.741 0.000 0.741
Ca4 Ca 0.296 0.796 0.500
Ge1 Ge 0.657 0.805 0.852
Ge2 Ge 0.343 0.195 0.148
Ge3 Ge 0.424 0.424 0.000
Ge4 Ge 0.576 0.576 0.000
Ge5 Ge 0.079 0.579 0.500
Ge6 Ge 0.953 0.805 0.148
Ge7 Ge 0.921 0.421 0.500
Ge8 Ge 0.047 0.195 0.852
```

***

(4)
Computed, not measured: a relaxed structure of Na10La7TaSi6S6O48 at the GGA-PBE level of DFT.

magnetization: 0.00 Bohr magnetons per cell
final energy: -6.95 eV per atom

Geometry as CIF:
```
data_Na10La7TaSi6S6O48
_symmetry_space_group_name_H-M 'P 1'
_symmetry_Int_Tables_number 1
_symmetry_space_group_name_Hall 'P 1'
_cell_length_a 19.131
_cell_length_b 9.596
_cell_length_c 24.356
_cell_angle_alpha 90.11
_cell_angle_beta 89.71
_cell_angle_gamma 120.10
loop_
_atom_site_label
_atom_site_type_symbol
_atom_site_fract_x
_atom_site_fract_y
_atom_site_fract_z
O1 O 0.928 0.548 0.742
O2 O 0.584 0.163 0.101
O3 O 0.003 0.174 0.193
O4 O 0.671 0.492 0.083
O5 O 0.498 0.822 0.419
O6 O 0.769 0.648 0.863
O7 O 0.489 0.778 0.799
O8 O 0.143 0.826 0.247
O9 O 0.670 0.900 0.861
O10 O 0.210 0.294 0.037
O11 O 0.272 0.864 0.082
O12 O 0.585 0.466 0.246
O13 O 0.144 0.469 0.746
O14 O 0.600 0.004 0.581
O15 O 0.352 0.130 0.040
O16 O 0.985 0.182 0.300
O17 O 0.387 0.986 0.697
O18 O 0.170 0.459 0.366
O19 O 0.084 0.459 0.245
O20 O 0.395 0.973 0.415
O21 O 0.006 0.808 0.694
O22 O 0.592 0.988 0.197
O23 O 0.597 0.002 0.917
O24 O 0.172 0.892 0.867
O25 O 0.396 0.005 0.797
O26 O 0.505 0.177 0.194
O27 O 0.421 0.309 0.243
O28 O 0.728 0.137 0.238
O29 O 0.996 0.788 0.795
O30 O 0.088 0.018 0.602
O31 O 0.407 0.817 0.916
O32 O 0.268 0.845 0.751
O33 O 0.923 0.573 0.042
O34 O 0.018 0.212 0.917
O35 O 0.075 0.473 0.578
O36 O 0.238 0.336 0.745
O37 O 0.825 0.137 0.418
O38 O 0.918 0.308 0.242
O39 O 0.444 0.345 0.635
O40 O 0.680 0.871 0.578
O41 O 0.428 0.533 0.747
O42 O 0.714 0.292 0.032
O43 O 0.613 0.024 0.296
O44 O 0.862 0.569 0.540
O45 O 0.090 0.167 0.094
O46 O 0.418 0.503 0.416
O47 O 0.581 0.691 0.083
O48 O 0.330 0.099 0.139
O49 O 0.774 0.890 0.366
O50 O 0.411 0.835 0.585
O51 O 0.452 0.554 0.147
O52 O 0.822 0.554 0.647
O53 O 0.993 0.842 0.097
O54 O 0.909 0.826 0.194
O55 O 0.326 0.129 0.417
O56 O 0.492 0.187 0.302
O57 O 0.770 0.668 0.975
O58 O 0.561 0.449 0.966
O59 O 0.106 0.204 0.808
O60 O 0.059 0.663 0.367
O61 O 0.995 0.163 0.598
O62 O 0.494 0.837 0.100
O63 O 0.404 0.782 0.305
O64 O 0.155 0.843 0.577
O65 O 0.926 0.834 0.599
O66 O 0.767 0.695 0.578
O67 O 0.600 0.199 0.700
O68 O 0.730 0.350 0.142
O69 O 0.096 0.202 0.417
O70 O 0.768 0.712 0.248
O71 O 0.597 0.201 0.417
O72 O 0.568 0.670 0.465
O73 O 0.554 0.659 0.355
O74 O 0.907 0.023 0.798
O75 O 0.161 0.459 0.081
O76 O 0.270 0.717 0.247
O77 O 0.909 0.783 0.301
O78 O 0.932 0.335 0.921
O79 O 0.514 0.208 0.914
O80 O 0.051 0.454 0.864
O81 O 0.099 0.003 0.916
O82 O 0.315 0.486 0.918
O83 O 0.910 0.990 0.691
O84 O 0.338 0.530 0.241
O85 O 0.554 0.460 0.866
O86 O 0.236 0.152 0.238
O87 O 0.506 0.790 0.700
O88 O 0.065 0.461 0.963
O89 O 0.414 0.842 0.197
O90 O 0.340 0.557 0.527
O91 O 0.910 0.819 0.919
O92 O 0.956 0.565 0.148
O93 O 0.435 0.317 0.535
O94 O 0.162 0.880 0.966
O95 O 0.900 0.991 0.419
O96 O 0.242 0.103 0.635
O97 O 0.576 0.693 0.754
O98 O 0.244 0.361 0.415
O99 O 0.932 0.517 0.414
O100 O 0.835 0.520 0.243
O101 O 0.852 0.129 0.040
O102 O 0.918 0.011 0.092
O103 O 0.056 0.664 0.467
O104 O 0.919 0.275 0.539
O105 O 0.221 0.338 0.136
O106 O 0.831 0.095 0.140
O107 O 0.764 0.835 0.744
O108 O 0.251 0.662 0.583
O109 O 0.774 0.881 0.467
O110 O 0.647 0.846 0.246
O111 O 0.083 0.987 0.195
O112 O 0.244 0.139 0.920
O113 O 0.743 0.315 0.753
O114 O 0.663 0.875 0.961
O115 O 0.431 0.573 0.038
O116 O 0.818 0.486 0.920
O117 O 0.743 0.139 0.917
O118 O 0.724 0.099 0.635
O119 O 0.080 0.687 0.080
O120 O 0.267 0.643 0.856
O121 O 0.666 0.483 0.752
O122 O 0.324 0.538 0.638
O123 O 0.676 0.451 0.364
O124 O 0.745 0.346 0.419
O125 O 0.843 0.160 0.739
O126 O 0.949 0.366 0.645
O127 O 0.338 0.141 0.749
O128 O 0.074 0.689 0.745
O129 O 0.164 0.451 0.466
O130 O 0.274 0.875 0.467
O131 O 0.269 0.880 0.366
O132 O 0.567 0.472 0.582
O133 O 0.211 0.152 0.533
O134 O 0.728 0.134 0.535
O135 O 0.608 0.197 0.810
O136 O 0.084 0.178 0.697
O137 O 0.668 0.453 0.464
O138 O 0.431 0.336 0.920
O139 O 0.262 0.668 0.966
O140 O 0.487 0.179 0.586
O141 O 0.109 0.034 0.302
O142 O 0.006 0.812 0.418
O143 O 0.773 0.860 0.082
O144 O 0.417 0.017 0.093
Si1 Si 0.839 0.655 0.590
Si2 Si 0.146 0.000 0.247
Si3 Si 0.675 0.325 0.088
Si4 Si 0.819 0.661 0.920
Si5 Si 0.851 0.705 0.248
Si6 Si 0.983 0.326 0.589
Si7 Si 0.501 0.288 0.247
Si8 Si 0.991 0.663 0.090
Si9 Si 0.144 0.294 0.751
Si10 Si 0.998 0.286 0.245
Si11 Si 0.653 0.299 0.754
Si12 Si 0.316 0.660 0.915
Si13 Si 0.511 0.664 0.414
Si14 Si 0.491 0.660 0.091
Si15 Si 0.853 0.001 0.744
Si16 Si 0.356 0.716 0.247
Si17 Si 0.176 0.031 0.586
Si18 Si 0.335 0.648 0.583
Na1 Na 0.171 0.309 0.908
Na2 Na 0.155 0.662 0.165
Na3 Na 0.492 0.618 0.248
Na4 Na 0.994 0.630 0.241
Na5 Na 0.330 0.961 0.588
Na6 Na 0.688 0.381 0.235
Na7 Na 0.830 0.678 0.076
Na8 Na 0.674 0.315 0.916
Na9 Na 0.836 0.973 0.583
Na10 Na 0.357 0.666 0.418
Na11 Na 0.162 0.343 0.584
Na12 Na 0.827 0.335 0.838
Na13 Na 0.164 0.659 0.662
Na14 Na 0.811 0.625 0.745
Na15 Na 0.328 0.330 0.837
Na16 Na 0.843 0.349 0.331
Na17 Na 0.490 0.961 0.003
Na18 Na 0.323 0.014 0.246
Na19 Na 0.000 0.995 0.499
Na20 Na 0.994 0.344 0.743
Na21 Na 0.347 0.343 0.333
Na22 Na 0.185 0.355 0.247
Na23 Na 0.988 0.965 0.999
Na24 Na 0.308 0.616 0.748
Na25 Na 0.650 0.633 0.159
Na26 Na 0.827 0.005 0.248
Na27 Na 0.692 0.020 0.755
Na28 Na 0.672 0.634 0.670
Na29 Na 0.010 0.699 0.589
Na30 Na 0.505 0.968 0.499
La1 La 0.164 0.665 0.518
La2 La 0.999 0.999 0.347
La3 La 0.840 0.347 0.174
La4 La 0.339 0.345 0.179
La5 La 0.506 0.006 0.650
La6 La 0.659 0.654 0.316
La7 La 0.332 0.339 0.486
La8 La 0.496 0.994 0.852
La9 La 0.829 0.338 0.679
La10 La 0.165 0.665 0.307
La11 La 0.325 0.328 0.680
La12 La 0.661 0.658 0.513
La13 La 0.675 0.665 0.817
La14 La 0.344 0.368 0.989
La15 La 0.843 0.353 0.489
La16 La 0.501 0.998 0.350
La17 La 0.834 0.353 0.992
La18 La 0.168 0.673 0.019
La19 La 0.167 0.663 0.818
La20 La 0.663 0.664 0.020
La21 La 0.991 0.990 0.851
S1 S 0.682 0.028 0.582
S2 S 0.500 0.697 0.750
S3 S 0.669 0.977 0.915
S4 S 0.818 0.976 0.417
S5 S 0.484 0.331 0.585
S6 S 0.002 0.711 0.744
S7 S 0.014 0.666 0.416
S8 S 0.171 0.316 0.087
S9 S 0.341 0.029 0.088
S10 S 0.645 0.999 0.244
S11 S 0.015 0.365 0.917
S12 S 0.170 0.977 0.917
S13 S 0.671 0.362 0.416
S14 S 0.167 0.365 0.416
S15 S 0.348 0.998 0.748
S16 S 0.316 0.967 0.416
S17 S 0.843 0.027 0.088
S18 S 0.515 0.365 0.916
Ta1 Ta 0.002 0.016 0.648
Ta2 Ta 0.497 0.004 0.147
Ta3 Ta 0.000 0.990 0.155
```

***

Question: Which value of final energy does entry 1 give?
Answer: -6.49 eV per atom

***

Question: Among the records above, which one has the highest final energy?
Answer: CaGe2Pt